[1]
Material: Fe7Si2O12
Method: DFT, GGA+U
State: optimized geometry

Geometry as POSCAR:
```
Fe7Si2O12
1.0
-2.9567 2.9567 12.5654
2.9567 -2.9567 12.5654
2.9567 2.9567 -12.5654
O Fe Si
24 14 4
direct
0.8120 0.5442 0.2678
0.2765 0.5442 0.7322
0.3112 0.0458 0.2654
0.5983 0.3703 0.2280
0.2942 0.5265 0.2322
0.1203 0.8483 0.7280
0.4388 0.2042 0.2346
0.7958 0.5612 0.7654
0.6297 0.8576 0.2280
0.7804 0.0458 0.7346
0.9696 0.2042 0.7654
0.2942 0.0620 0.7678
0.9542 0.2196 0.2654
0.1517 0.8797 0.2720
0.9380 0.7058 0.2322
0.4558 0.7235 0.2678
0.6076 0.8797 0.7280
0.9542 0.6888 0.7346
0.7958 0.0304 0.2346
0.1203 0.3924 0.2720
0.6297 0.4017 0.7720
0.4558 0.1880 0.7322
0.4735 0.7058 0.7678
0.1424 0.3703 0.7720
0.7024 0.4575 0.2449
0.8750 0.6250 0.7500
0.2075 0.4626 0.2551
0.7500 0.2500 0.5000
0.0000 0.0000 0.0000
0.3750 0.1250 0.2500
0.5425 0.2976 0.7551
0.8750 0.1250 0.2500
0.2126 0.4575 0.7551
0.5374 0.7925 0.7449
0.5425 0.7874 0.2449
0.2075 0.9524 0.7449
0.8750 0.1250 0.7500
0.0476 0.7925 0.2551
0.0819 0.5819 0.5000
0.6681 0.6681 0.0000
0.4181 0.9181 0.5000
0.3319 0.3319 0.0000
```

Calculated values
For the total energy, the calculation gives -295.12 eV per cell. As for the size of the total moment: 59.999 μB/cell. As for the formation energy: -2.004 eV per atom.

***

[2]
Material: Fe2SiO4
Method: DFT, GGA+U
State: optimized geometry

Geometry as POSCAR:
```
Fe2SiO4
1.0
-2.5645 -2.4891 -3.3257
0.3695 -5.0654 3.5065
-8.9919 2.7428 4.8966
O Si Fe
16 4 8
direct
0.2120 0.4637 0.6653
0.2893 0.2497 0.9526
0.2647 0.7500 0.4085
0.2870 0.4631 0.1650
0.2337 0.7503 0.9077
0.7353 0.2500 0.5915
0.2113 0.2500 0.4523
0.7107 0.7503 0.0474
0.2876 0.0368 0.1652
0.7130 0.5369 0.8350
0.7880 0.5363 0.3347
0.7124 0.9632 0.8348
0.7880 0.9637 0.3347
0.2120 0.0363 0.6653
0.7887 0.7500 0.5477
0.7663 0.2497 0.0923
0.4295 0.2499 0.0964
0.0718 0.2500 0.5964
0.9282 0.7500 0.4036
0.5705 0.7501 0.9036
0.5138 0.2499 0.7797
0.4862 0.7501 0.2203
0.5000 0.0000 0.5000
0.0000 0.5000 0.0000
0.9862 0.2499 0.2796
0.0000 0.0000 0.0000
0.5000 0.5000 0.5000
0.0138 0.7501 0.7204
```

Calculated values
For the total energy, the calculation gives -204.03 eV per cell. As for the formation energy: -2.301 eV per atom.